1.
This record from Materials Project describes crystalline V3As2 at its relaxed geometry. The functional is r2SCAN.

Lattice parameters (Å, degrees): 9.5469 9.5469 3.3178 90.00 90.00 90.00
Last column: nearest neighbours and their distance in Å.
Element x y z (fractional)
V1 0.0000 0.0000 0.0000  4 As 2.57, 8 V 2.78
V2 0.0000 0.5000 0.0000  6 As 2.49-2.69
V3 0.1021 0.2106 0.5000  5 As 2.49-2.55, 2 V 2.78
V4 0.2106 0.8979 0.5000  5 As 2.49-2.55, 2 V 2.78
V5 0.3145 0.6262 0.0000  5 As 2.45-2.59, 2 V 2.71
V6 0.3738 0.3145 0.0000  5 As 2.45-2.59, 2 V 2.71
V7 0.5000 0.0000 0.0000  6 As 2.49-2.69
V8 0.5000 0.5000 0.5000  8 V 2.71, 4 As 2.74
V9 0.6262 0.6855 0.0000  5 As 2.45-2.59, 2 V 2.71
V10 0.6855 0.3738 0.0000  5 As 2.45-2.59, 2 V 2.71
V11 0.7894 0.1021 0.5000  5 As 2.49-2.55, 2 V 2.78
V12 0.8979 0.7894 0.5000  5 As 2.49-2.55, 2 V 2.78
As1 0.0876 0.7452 0.0000  7 V 2.45-2.57
As2 0.2171 0.4518 0.5000  8 V 2.53-2.74
As3 0.2548 0.0876 0.0000  7 V 2.45-2.57
As4 0.4518 0.7829 0.5000  8 V 2.53-2.74
As5 0.5482 0.2171 0.5000  8 V 2.53-2.74
As6 0.7452 0.9124 0.0000  7 V 2.45-2.57
As7 0.7829 0.5482 0.5000  8 V 2.53-2.74
As8 0.9124 0.2548 0.0000  7 V 2.45-2.57

Computed properties:
Its symmetry is No. 83. The formation energy from the elements is -0.6053 eV per atom.


2.
This record from Materials Project describes crystalline CeAlCo at its relaxed geometry. The functional is r2SCAN.

Lattice parameters (Å, degrees): 6.0092 6.0092 4.6772 109.07 109.07 43.84
Last column: nearest neighbours and their distance in Å.
Element x y z (fractional)
Ce1 0.1327 0.1327 0.3580  1 Co 2.19
Ce2 0.8673 0.8673 0.6420  1 Co 2.19
Al1 0.4153 0.4153 0.1725  3 Co 2.48-2.50
Al2 0.5847 0.5847 0.8275  3 Co 2.48-2.50
Co1 0.1824 0.1824 0.8556  1 Ce 2.19
Co2 0.8176 0.8176 0.1444  1 Ce 2.19

Computed properties:
Its symmetry is No. 12. The formation energy from the elements is -0.4647 eV per atom.


3.
This record from Materials Project describes crystalline NbSiRh at its relaxed geometry. The functional is r2SCAN.

Lattice parameters (Å, degrees): 6.4299 3.7535 7.3205 90.00 90.00 90.00
Last column: nearest neighbours and their distance in Å.
Element x y z (fractional)
Nb1 0.0250 0.2500 0.1733  5 Si 2.69-2.73, 6 Rh 2.90-3.00
Nb2 0.4750 0.7500 0.6733  5 Si 2.69-2.73, 6 Rh 2.90-3.00
Nb3 0.5250 0.2500 0.3267  5 Si 2.69-2.73, 6 Rh 2.90-3.00
Nb4 0.9750 0.7500 0.8267  5 Si 2.69-2.73, 6 Rh 2.90-3.00
Si1 0.2304 0.7500 0.3758  4 Rh 2.39-2.45
Si2 0.2696 0.2500 0.8758  4 Rh 2.39-2.45
Si3 0.7304 0.7500 0.1242  4 Rh 2.39-2.45
Si4 0.7696 0.2500 0.6242  4 Rh 2.39-2.45
Rh1 0.1442 0.2500 0.5629  4 Si 2.39-2.45
Rh2 0.3558 0.7500 0.0629  4 Si 2.39-2.45
Rh3 0.6442 0.2500 0.9371  4 Si 2.39-2.45
Rh4 0.8558 0.7500 0.4371  4 Si 2.39-2.45

Computed properties:
Its symmetry is No. 62. The formation energy from the elements is -0.9192 eV per atom.


4.
This record from Materials Project describes crystalline CaCo2As2 at its relaxed geometry. The functional is r2SCAN.

Lattice parameters (Å, degrees): 5.7885 5.7885 5.7885 139.48 139.48 58.64
Last column: nearest neighbours and their distance in Å.
Element x y z (fractional)
Ca1 0.0000 0.0000 0.0000  8 As 3.15, 8 Co 3.22
Co1 0.2500 0.7500 0.5000  4 As 2.31
Co2 0.7500 0.2500 0.5000  4 As 2.31
As1 0.3635 0.3635 0.0000  4 Co 2.31
As2 0.6365 0.6365 0.0000  4 Co 2.31

Computed properties:
Its symmetry is No. 139. The formation energy from the elements is -0.6144 eV per atom.


- Which of these has the highest formation energy from the elements?
  CeAlCo


- What is the formation energy from the elements in the first record?
  -0.6053 eV per atom


- Among the records above, which one has the lowest formation energy from the elements?
  NbSiRh


- Which of these has the lowest formation energy from the elements?
  NbSiRh